Below is a relaxed Cs3SbS4 crystal, with properties calculated at the r2SCAN level.

Structure (POSCAR):
```
Cs3SbS4
1.0
10.022 0.000 0.000
0.000 11.764 0.000
0.000 0.000 10.125
Cs Sb S
12 4 16
direct
0.047 0.042 0.205
0.047 0.458 0.205
0.149 0.750 0.414
0.351 0.250 0.914
0.453 0.542 0.705
0.453 0.958 0.705
0.547 0.042 0.295
0.547 0.458 0.295
0.649 0.750 0.086
0.851 0.250 0.586
0.953 0.542 0.795
0.953 0.958 0.795
0.225 0.750 0.981
0.275 0.250 0.481
0.725 0.750 0.519
0.775 0.250 0.019
0.011 0.750 0.076
0.162 0.085 0.544
0.162 0.415 0.544
0.203 0.750 0.750
0.297 0.250 0.250
0.338 0.585 0.044
0.338 0.915 0.044
0.489 0.250 0.576
0.511 0.750 0.424
0.662 0.085 0.956
0.662 0.415 0.956
0.703 0.750 0.750
0.797 0.250 0.250
0.838 0.585 0.456
0.838 0.915 0.456
0.989 0.250 0.924
```

## Properties
VASP energy = -17.74 eV per atom
DFT formation energy = -1.093 eV per atom
Total magnetic moment = 0.00 μB/f.u.